Record 1
Material: Li10Cr3Fe3Ni2O16
Method: DFT, PBE+U
State: relaxed

Total magnetic moment, μB per cell: 28.0
Space group: Cm, No. 8
Excess energy over the best structure of this formula in the dataset, meV/atom: 2
Electronic total energy, eV per atom: -5.966

Cell: 5.9784 5.9784 9.8384 Å, 90.23 90.23 59.85°
Positions (direct):
Li1 0.0000 0.0000 0.0000
Li2 0.0022 0.0022 0.5012
Li3 0.1993 0.1993 0.4270
Li4 0.2005 0.6110 0.4260
Li5 0.3336 0.3336 0.2014
Li6 0.3974 0.8112 0.9264
Li7 0.6110 0.2005 0.4260
Li8 0.6706 0.6706 0.7015
Li9 0.8066 0.8066 0.9273
Li10 0.8112 0.3974 0.9264
Cr1 0.1693 0.6690 0.6993
Cr2 0.6690 0.1693 0.6993
Cr3 0.8321 0.8321 0.1991
Fe1 0.1722 0.1722 0.6997
Fe2 0.3442 0.8260 0.1994
Fe3 0.8260 0.3442 0.1994
Ni1 0.3355 0.3355 0.9549
Ni2 0.6677 0.6677 0.4552
O1 0.0016 0.0016 0.8107
O2 0.0175 0.4988 0.8169
O3 0.1619 0.1619 0.0790
O4 0.1656 0.6717 0.0826
O5 0.3238 0.8423 0.5812
O6 0.3377 0.3377 0.5823
O7 0.4946 0.4946 0.8176
O8 0.4988 0.0175 0.8169
O9 0.5087 0.5087 0.3179
O10 0.5148 0.9795 0.3175
O11 0.6687 0.6687 0.0805
O12 0.6717 0.1656 0.0826
O13 0.8412 0.8412 0.5826
O14 0.8423 0.3238 0.5812
O15 0.9795 0.5148 0.3175
O16 0.9987 0.9987 0.3118

***

Record 2
Material: Li10Cr3Fe3Ni2O16
Method: DFT, PBE+U
State: relaxed

Total magnetic moment, μB per cell: 28.0
Space group: P1, No. 1
Excess energy over the best structure of this formula in the dataset, meV/atom: 0
Electronic total energy, eV per atom: -5.968

Cell: 5.9783 5.9792 9.8617 Å, 90.01 90.22 119.74°
Positions (direct):
Li1 0.0000 0.0000 0.0000
Li2 0.0041 0.5895 0.0008
Li3 0.1379 0.8574 0.7762
Li4 0.1951 0.3980 0.5013
Li5 0.4059 0.9922 0.0022
Li6 0.4630 0.5327 0.2760
Li7 0.6006 0.8000 0.5029
Li8 0.6060 0.3930 0.5009
Li9 0.7965 0.1961 0.0753
Li10 0.8012 0.1918 0.5759
Cr1 0.4608 0.0295 0.2754
Cr2 0.6348 0.3600 0.7752
Cr3 0.6345 0.8556 0.7753
Fe1 0.1406 0.3603 0.7754
Fe2 0.9658 0.0291 0.2757
Fe3 0.9660 0.5352 0.2753
Ni1 0.1333 0.8637 0.5312
Ni2 0.4695 0.5273 0.0304
O1 0.1204 0.3588 0.1564
O2 0.1332 0.8647 0.1574
O3 0.2896 0.1804 0.3944
O4 0.2910 0.7071 0.3937
O5 0.3122 0.6851 0.8930
O6 0.3132 0.2094 0.8935
O7 0.4710 0.5269 0.6590
O8 0.4796 0.0307 0.6588
O9 0.6341 0.3574 0.1589
O10 0.6338 0.8741 0.1581
O11 0.7849 0.6829 0.8935
O12 0.7948 0.1972 0.3871
O13 0.8010 0.1905 0.8860
O14 0.8146 0.7062 0.3943
O15 0.9622 0.0284 0.6585
O16 0.9628 0.5149 0.6576

***

Record 3
Material: Li4CrFe2Ni3P6O24
Method: DFT, PBE+U
State: relaxed

Total magnetic moment, μB per cell: 18.0
Space group: P1, No. 1
Electronic total energy, eV per atom: -6.631

Cell: 8.3426 8.4182 8.4226 Å, 63.42 63.77 63.84°
Positions (direct):
Li1 0.0000 0.0000 0.0000
Li2 0.1060 0.4987 0.9145
Li3 0.5165 0.7101 0.2905
Li4 0.8935 0.1220 0.5017
Cr1 0.1060 0.7085 0.5010
Fe1 0.2635 0.8581 0.6430
Fe2 0.7376 0.3563 0.1446
Ni1 0.3915 0.0032 0.7916
Ni2 0.6048 0.2088 0.9956
Ni3 0.8962 0.5032 0.2959
P1 0.1939 0.1024 0.1895
P2 0.3012 0.6036 0.0957
P3 0.4963 0.4003 0.5977
P4 0.6969 0.9068 0.3969
P5 0.8013 0.8086 0.8941
P6 0.9983 0.3050 0.6962
O1 0.0030 0.7759 0.7414
O2 0.0640 0.4656 0.6590
O3 0.1442 0.1070 0.7232
O4 0.1490 0.5286 0.1265
O5 0.1737 0.9515 0.3926
O6 0.2069 0.0361 0.0430
O7 0.2642 0.6680 0.2573
O8 0.3064 0.7633 0.9079
O9 0.3474 0.6052 0.5689
O10 0.3589 0.1610 0.1464
O11 0.4249 0.2503 0.6320
O12 0.5013 0.4534 0.0822
O13 0.5042 0.9309 0.5455
O14 0.5640 0.3732 0.7503
O15 0.6382 0.8584 0.8327
O16 0.6489 0.4233 0.3932
O17 0.7016 0.1005 0.2341
O18 0.7246 0.7544 0.3260
O19 0.7945 0.9569 0.9570
O20 0.8157 0.6058 0.0478
O21 0.8502 0.2880 0.8996
O22 0.8600 0.8661 0.4640
O23 0.9276 0.3316 0.5444
O24 0.9933 0.2586 0.2156

***

Record 4
Material: Li4Cr3Fe3O12
Method: DFT, PBE+U
State: relaxed

Total magnetic moment, μB per cell: 22.0
Space group: F222, No. 22
Excess energy over the best structure of this formula in the dataset, meV/atom: 30
Electronic total energy, eV per atom: -6.546

Cell: 9.6285 8.9811 5.3146 Å, 80.23 66.82 32.95°
Positions (direct):
Li1 0.0799 0.0799 0.4201
Li2 0.1697 0.1697 0.8303
Li3 0.4201 0.4201 0.0799
Li4 0.8303 0.8303 0.1697
Cr1 0.0000 0.0000 0.0000
Cr2 0.3356 0.3356 0.6644
Cr3 0.6644 0.6644 0.3356
Fe1 0.2500 0.2500 0.2500
Fe2 0.5855 0.5855 0.9145
Fe3 0.9145 0.9145 0.5855
O1 0.0307 0.4693 0.0307
O2 0.1229 0.5505 0.4300
O3 0.1253 0.7012 0.8193
O4 0.2210 0.7790 0.2210
O5 0.3542 0.8193 0.7012
O6 0.4300 0.8966 0.1229
O7 0.4693 0.0307 0.4693
O8 0.5505 0.1229 0.8966
O9 0.7012 0.1253 0.3542
O10 0.7790 0.2210 0.7790
O11 0.8193 0.3542 0.1253
O12 0.8966 0.4300 0.5505

***

Record 5
Material: Li4Cr2Fe3O10
Method: DFT, PBE+U
State: relaxed

Total magnetic moment, μB per cell: 20.0
Space group: P1, No. 1
Electronic total energy, eV per atom: -6.447

Cell: 5.1150 5.1350 7.8300 Å, 72.34 72.04 80.10°
Positions (direct):
Li1 0.0000 0.0000 0.0000
Li2 0.0020 0.5600 0.8314
Li3 0.4869 0.2733 0.9151
Li4 0.9879 0.1712 0.6297
Cr1 0.5014 0.8851 0.7116
Cr2 0.5086 0.6718 0.0926
Fe1 0.0015 0.7807 0.3985
Fe2 0.4963 0.0961 0.2981
Fe3 0.5021 0.4721 0.5166
O1 0.2622 0.8358 0.5465
O2 0.2687 0.9899 0.1686
O3 0.2724 0.2369 0.7432
O4 0.2771 0.4496 0.3480
O5 0.2883 0.6604 0.9479
O6 0.7202 0.3442 0.0698
O7 0.7321 0.1128 0.4688
O8 0.7332 0.7473 0.2615
O9 0.7337 0.9091 0.8677
O10 0.7564 0.5550 0.6358

***

Record 6
Material: Li4Cr2Fe5O12
Method: DFT, PBE+U
State: relaxed

Total magnetic moment, μB per cell: 60.0
Space group: P2_1, No. 4
Electronic total energy, eV per atom: -6.526

Cell: 5.1242 9.0797 9.8493 Å, 90.00 101.00 90.00°
Positions (direct):
Li1 0.0031 0.0000 0.2411
Li2 0.0087 0.8374 0.7577
Li3 0.2600 0.9994 0.9947
Li4 0.4946 0.8289 0.2429
Li5 0.5054 0.3289 0.7571
Li6 0.7400 0.4994 0.0053
Li7 0.9913 0.3374 0.2423
Li8 0.9969 0.5000 0.7589
Cr1 0.2493 0.1636 0.5018
Cr2 0.2523 0.6647 0.0038
Cr3 0.7477 0.1647 0.9962
Cr4 0.7507 0.6636 0.4982
Fe1 0.0119 0.1559 0.7586
Fe2 0.2494 0.3407 0.0047
Fe3 0.2519 0.8383 0.5049
Fe4 0.2595 0.4963 0.4976
Fe5 0.4946 0.1650 0.2427
Fe6 0.5054 0.6650 0.7573
Fe7 0.7405 0.9963 0.5024
Fe8 0.7481 0.3383 0.4951
Fe9 0.7506 0.8407 0.9953
Fe10 0.9881 0.6559 0.2414
O1 0.1123 0.5069 0.1168
O2 0.1133 0.8168 0.1236
O3 0.1197 0.3203 0.6179
O4 0.1245 0.0066 0.6207
O5 0.1279 0.1758 0.1226
O6 0.1306 0.6738 0.6221
O7 0.3589 0.0066 0.3768
O8 0.3653 0.6782 0.3847
O9 0.3684 0.1828 0.8818
O10 0.3686 0.5085 0.8800
O11 0.3800 0.3126 0.3818
O12 0.3842 0.8131 0.8822
O13 0.6158 0.3131 0.1178
O14 0.6200 0.8126 0.6182
O15 0.6314 0.0085 0.1200
O16 0.6316 0.6828 0.1182
O17 0.6347 0.1782 0.6153
O18 0.6411 0.5066 0.6232
O19 0.8694 0.1738 0.3779
O20 0.8721 0.6758 0.8774
O21 0.8755 0.5066 0.3793
O22 0.8803 0.8203 0.3821
O23 0.8867 0.3168 0.8764
O24 0.8877 0.0069 0.8832

***

Record 7
Material: Li11Cr3Fe3O16
Method: DFT, PBE+U
State: relaxed

Total magnetic moment, μB per cell: 21.0
Space group: P1, No. 1
Excess energy over the best structure of this formula in the dataset, meV/atom: 2
Electronic total energy, eV per atom: -5.999

Cell: 5.9066 5.9828 10.0471 Å, 96.69 90.00 119.58°
Positions (direct):
Li1 0.0000 0.0000 0.0000
Li2 0.0044 0.5022 0.9797
Li3 0.0961 0.1922 0.5276
Li4 0.2890 0.5780 0.7407
Li5 0.3383 0.6765 0.4816
Li6 0.4154 0.8308 0.9809
Li7 0.4977 0.5022 0.9797
Li8 0.5951 0.1903 0.5337
Li9 0.6122 0.2243 0.0493
Li10 0.8398 0.6796 0.4669
Li11 0.9679 0.9358 0.2480
Cr1 0.2893 0.0797 0.7565
Cr2 0.4704 0.9407 0.2534
Cr3 0.7904 0.0797 0.7565
Fe1 0.4678 0.4394 0.2506
Fe2 0.7918 0.5835 0.7487
Fe3 0.9716 0.4394 0.2506
O1 0.1292 0.7819 0.8654
O2 0.1365 0.2560 0.8646
O3 0.1520 0.7828 0.3576
O4 0.1637 0.3274 0.3554
O5 0.2987 0.5974 0.1275
O6 0.3084 0.0932 0.1412
O7 0.4432 0.3686 0.6445
O8 0.4564 0.9128 0.6518
O9 0.6308 0.7828 0.3576
O10 0.6381 0.2763 0.8684
O11 0.6521 0.3042 0.3622
O12 0.6527 0.7819 0.8654
O13 0.7791 0.5581 0.1388
O14 0.7848 0.0932 0.1412
O15 0.9254 0.3686 0.6445
O16 0.9485 0.8970 0.6440

***

Record 8
Material: Li3Cr3FeO8
Method: DFT, PBE+U
State: relaxed

Total magnetic moment, μB per cell: 26.0
Space group: P-1, No. 2
Excess energy over the best structure of this formula in the dataset, meV/atom: 37
Electronic total energy, eV per atom: -6.752

Cell: 5.1453 7.7512 7.7946 Å, 81.87 84.05 70.76°
Positions (direct):
Li1 0.0004 0.1252 0.1313
Li2 0.0005 0.2470 0.7466
Li3 0.9995 0.7530 0.2534
Li4 0.9996 0.8748 0.8687
Li5 0.0053 0.3706 0.3654
Li6 0.9947 0.6294 0.6346
Cr1 0.4901 0.6889 0.4393
Cr2 0.4920 0.1922 0.9390
Cr3 0.4967 0.9391 0.6857
Cr4 0.5033 0.0609 0.3143
Cr5 0.5080 0.8078 0.0610
Cr6 0.5099 0.3111 0.5607
Fe1 0.4968 0.4391 0.1846
Fe2 0.5032 0.5609 0.8154
O1 0.2724 0.0272 0.9066
O2 0.2753 0.5230 0.3947
O3 0.2815 0.7616 0.6681
O4 0.2832 0.8986 0.2724
O5 0.2842 0.1572 0.5300
O6 0.2843 0.2819 0.1614
O7 0.2887 0.4102 0.7742
O8 0.2910 0.6437 0.0263
O9 0.7090 0.3563 0.9737
O10 0.7113 0.5898 0.2258
O11 0.7157 0.7181 0.8386
O12 0.7158 0.8428 0.4700
O13 0.7168 0.1014 0.7276
O14 0.7185 0.2384 0.3319
O15 0.7247 0.4770 0.6053
O16 0.7276 0.9728 0.0934

***

Record 9
Material: Li4Cr3Fe3O12
Method: DFT, PBE+U
State: relaxed

Total magnetic moment, μB per cell: 22.0
Space group: P-1, No. 2
Excess energy over the best structure of this formula in the dataset, meV/atom: 0
Electronic total energy, eV per atom: -6.575

Cell: 5.1514 6.0285 7.8424 Å, 78.64 77.02 73.42°
Positions (direct):
Li1 0.0027 0.1669 0.3366
Li2 0.4906 0.3353 0.1670
Li3 0.5094 0.6647 0.8330
Li4 0.9973 0.8331 0.6634
Cr1 0.0000 0.0000 0.0000
Cr2 0.0019 0.3325 0.6668
Cr3 0.9981 0.6675 0.3332
Fe1 0.5002 0.1674 0.8322
Fe2 0.5000 0.5000 0.5000
Fe3 0.4998 0.8326 0.1678
O1 0.2263 0.0184 0.7722
O2 0.2315 0.3628 0.4188
O3 0.2434 0.6927 0.0899
O4 0.2466 0.8086 0.4089
O5 0.2540 0.1373 0.0777
O6 0.2713 0.4810 0.7284
O7 0.7287 0.5190 0.2716
O8 0.7460 0.8627 0.9223
O9 0.7534 0.1914 0.5911
O10 0.7566 0.3073 0.9101
O11 0.7685 0.6372 0.5812
O12 0.7737 0.9816 0.2278

***

Record 10
Material: Li3Cr2FeO6
Method: DFT, PBE+U
State: relaxed

Total magnetic moment, μB per cell: 11.0
Space group: C2/m, No. 12
Electronic total energy, eV per atom: -6.649

Cell: 6.6521 6.6521 5.9491 Å, 103.01 103.01 25.82°
Positions (direct):
Li1 0.0000 0.0000 0.0000
Li2 0.3329 0.3329 0.6665
Li3 0.6671 0.6671 0.3335
Cr1 0.3330 0.3330 0.1662
Cr2 0.6670 0.6670 0.8338
Fe1 0.0000 0.0000 0.5000
O1 0.1622 0.1622 0.5981
O2 0.1728 0.1728 0.0688
O3 0.4947 0.4947 0.2606
O4 0.5053 0.5053 0.7394
O5 0.8272 0.8272 0.9312
O6 0.8378 0.8378 0.4019

***

Record 11
Material: Li3Cr3FeO8
Method: DFT, PBE+U
State: relaxed

Total magnetic moment, μB per cell: 1.0
Space group: C2/m, No. 12
Excess energy over the best structure of this formula in the dataset, meV/atom: 10
Electronic total energy, eV per atom: -6.779

Cell: 5.9019 5.9019 5.9442 Å, 120.12 120.12 60.83°
Positions (direct):
Li1 0.0000 0.0000 0.0000
Li2 0.0000 0.5000 0.0000
Li3 0.5000 0.0000 0.0000
Cr1 0.0000 0.5000 0.5000
Cr2 0.5000 0.0000 0.5000
Cr3 0.5000 0.5000 0.5000
Fe1 0.5000 0.5000 0.0000
O1 0.2551 0.2551 0.2737
O2 0.2673 0.7204 0.7462
O3 0.2695 0.2695 0.7542
O4 0.2796 0.7327 0.2538
O5 0.7204 0.2673 0.7462
O6 0.7305 0.7305 0.2458
O7 0.7327 0.2796 0.2538
O8 0.7449 0.7449 0.7263

***

Record 12
Material: Li3Cr2Fe3O10
Method: DFT, PBE+U
State: relaxed

Total magnetic moment, μB per cell: 19.0
Space group: P-1, No. 2
Electronic total energy, eV per atom: -6.508

Cell: 5.0995 5.1817 7.7991 Å, 72.61 72.18 78.37°
Positions (direct):
Li1 0.0000 0.0000 0.0000
Li2 0.4960 0.7230 0.0924
Li3 0.5040 0.2770 0.9076
Cr1 0.0204 0.3941 0.1874
Cr2 0.9796 0.6059 0.8126
Fe1 0.0237 0.1854 0.6047
Fe2 0.5000 0.5000 0.5000
Fe3 0.9763 0.8146 0.3953
O1 0.2029 0.0495 0.1631
O2 0.2125 0.6142 0.9766
O3 0.2140 0.8207 0.5638
O4 0.2354 0.4577 0.3567
O5 0.2479 0.2996 0.7344
O6 0.7521 0.7004 0.2656
O7 0.7646 0.5423 0.6433
O8 0.7860 0.1793 0.4362
O9 0.7875 0.3858 0.0234
O10 0.7971 0.9505 0.8369

***

Result set for volume: 304.06, 306.09, 452.23, 217.62, 185.72, 449.82, 305.99, 290.01, 225.14, 111.55, 147.02, 185.84 Å³ per cell, one per record in the order listed.